[1]
## KUClO3 (PBE-GGA)

Data for a relaxed KUClO3 crystal.

Results
The total energy comes out at -90.605 eV for the cell shown. The total magnetization comes out at 0.000 μB per atom. Its formation energy is -3.045 eV/atom.

Structure (POSCAR):
```
KUClO3
1.0
-1.8241 -3.4316 1.3578
6.4779 -3.2297 0.5401
2.7752 1.8172 8.3208
K O U Cl
2 6 2 2
Cartesian
0.2217 -2.5831 3.1305
7.2071 -2.2610 7.0882
4.6296 -3.2089 7.4706
4.0886 -1.2561 5.4384
6.0725 -2.9224 3.8923
1.3564 -1.9216 6.3265
3.3403 -3.5880 4.7803
2.7993 -1.6352 2.7482
4.4222 -2.2424 3.3939
3.0067 -2.6017 6.8248
3.8703 -4.8982 2.1811
3.5586 0.0541 8.0376
```

[2]
## K2OsCl6 (PBE-GGA)

Data for a relaxed K2OsCl6 crystal.

Results
The total energy comes out at -34.884 eV for the cell shown. Its formation energy is -1.559 eV/atom.

Structure (POSCAR):
```
K2OsCl6
1.0
-6.2462 -2.0561 -2.5573
-5.9367 2.9952 2.3590
-3.6856 4.3107 -4.1971
K Cl Os
2 6 1
Cartesian
-3.9671 1.3125 -1.0988
-11.9013 3.9374 -3.2965
-8.9902 2.4292 -4.6066
-5.6881 3.5162 -3.2547
-10.1803 1.7337 -1.1406
-6.8782 2.8207 0.2113
-7.0418 0.1503 -2.3878
-8.8267 5.0996 -2.0076
0.0000 0.0000 0.0000
```